Compound: PmPrIn2
Source: the Materials Project database
Functional: r2SCAN
Structure: optimized geometry

```
16
Lattice="7.737 0.000 0.000 0.000 7.737 0.000 0.000 0.000 7.737" Properties=species:S:1:pos:R:3 pbc="T T T"
Pm 0.000 0.000 0.000
Pm 0.000 3.869 3.869
Pm 3.869 0.000 3.869
Pm 3.869 3.869 0.000
Pr 0.000 0.000 3.869
Pr 0.000 3.869 0.000
Pr 3.869 0.000 0.000
Pr 3.869 3.869 3.869
In 1.934 1.934 1.934
In 1.934 1.934 5.803
In 1.934 5.803 1.934
In 1.934 5.803 5.803
In 5.803 1.934 1.934
In 5.803 1.934 5.803
In 5.803 5.803 1.934
In 5.803 5.803 5.803
```

Summary:
* calculated density: 7.39 g/cm3
* calculated formation energy: -14.32 kcal/mol of atoms